1.
{"formula": "LaMn2CdO6", "functional": "PBE+U", "state": "optimized geometry", "lattice": [[-2.715, 1.777, 4.508], [0.004, -3.118, 4.356], [2.668, 1.744, 4.490]], "species": ["La", "Mn", "Mn", "Cd", "O", "O", "O", "O", "O", "O"], "frac_coords": [[0.746, 0.753, 0.753], [0.001, 0.001, 0.000], [0.497, 0.502, 0.499], [0.253, 0.248, 0.246], [0.856, 0.227, 0.681], [0.247, 0.666, 0.838], [0.665, 0.839, 0.246], [0.752, 0.318, 0.179], [0.320, 0.177, 0.758], [0.163, 0.769, 0.301]]}

=====

2.
{"formula": "LaMn2CdO6", "functional": "PBE+U", "state": "optimized geometry", "lattice": [[2.771, 1.633, 4.511], [-5.349, -3.119, 4.341], [2.755, -4.836, -0.012]], "species": ["La", "La", "Mn", "Mn", "Mn", "Mn", "Cd", "Cd", "O", "O", "O", "O", "O", "O", "O", "O", "O", "O", "O", "O"], "frac_coords": [[0.501, 0.749, 0.001], [0.000, 0.249, 0.501], [0.499, 0.000, 0.500], [0.001, 0.000, 0.000], [0.999, 0.499, 0.000], [0.501, 0.500, 0.501], [0.500, 0.251, 0.998], [0.000, 0.751, 0.498], [0.202, 0.543, 0.715], [0.702, 0.043, 0.215], [0.288, 0.459, 0.202], [0.788, 0.959, 0.702], [0.001, 0.751, 0.083], [0.501, 0.251, 0.583], [0.718, 0.530, 0.791], [0.218, 0.030, 0.291], [0.999, 0.249, 0.932], [0.499, 0.749, 0.431], [0.791, 0.469, 0.278], [0.291, 0.969, 0.778]]}

=====

3.
{"formula": "LaMn2CdO6", "functional": "PBE+U", "state": "optimized geometry", "lattice": [[4.735, -2.750, 0.000], [4.735, 2.750, 0.000], [3.138, 0.000, 4.488]], "species": ["La", "Mn", "Mn", "Cd", "O", "O", "O", "O", "O", "O"], "frac_coords": [[0.500, 0.500, 0.500], [0.250, 0.250, 0.250], [0.750, 0.750, 0.750], [0.000, 0.000, 0.000], [0.583, 0.417, 0.000], [0.000, 0.583, 0.417], [0.417, 0.000, 0.583], [0.500, 0.935, 0.065], [0.065, 0.500, 0.935], [0.935, 0.065, 0.500]]}

=====

The following distance to the lowest polymorph of the same formula values (in meV per atom) correspond, in order, to the records above: 12; 6; 0.
The following formation energy from the elements values (in kcal/mol of atoms) correspond, in order, to the records above: -53.14; -53.28; -53.41.
The following total energy after the MP2020 corrections values (in eV per atom) correspond, in order, to the records above: -7.6914; -7.6974; -7.7033.